# 1
A plane-wave DFT calculation with PBE was carried out for crystalline Na3Mg3ScS6O24 at its relaxed geometry.

Cell: 8.7478 8.7518 22.6885 Å, 90.01 90.02 120.10°
Element x y z (fractional)
1 Na 0.6354 0.9990 0.2491
2 Na 0.3645 0.3634 0.2489
3 Na 0.0307 0.6979 0.5855
4 Na 0.9991 0.0081 0.4992
5 Na 0.0000 0.9994 0.9987
6 Na 0.6659 0.3324 0.8307
7 Na 0.6761 0.3419 0.3354
8 Na 0.3235 0.6657 0.1603
9 Na 0.3424 0.6658 0.6686
10 Mg 0.0000 0.9978 0.3530
11 Mg 0.0002 0.0008 0.8503
12 Mg 0.9992 0.0067 0.6528
13 Mg 0.9999 0.9972 0.1454
14 Mg 0.6638 0.3305 0.6874
15 Mg 0.6735 0.3395 0.1788
16 Mg 0.3328 0.6668 0.0173
17 Mg 0.3397 0.6659 0.5165
18 Mg 0.3264 0.6658 0.3195
19 Sc 0.6673 0.3341 0.9812
20 Sc 0.6647 0.3310 0.4816
21 Sc 0.3339 0.6668 0.8140
22 S 0.2900 0.9977 0.2500
23 S 0.7101 0.7076 0.2503
24 S 0.9999 0.2921 0.2501
25 S 0.2924 0.2895 0.7499
26 S 0.9972 0.7072 0.7490
27 S 0.7107 0.0030 0.7499
28 S 0.9599 0.3318 0.5841
29 S 0.3729 0.0394 0.5844
30 S 0.6649 0.6264 0.5846
31 S 0.9630 0.6286 0.0839
32 S 0.6658 0.0370 0.0849
33 S 0.3712 0.3343 0.0849
34 S 0.6276 0.6707 0.9176
35 S 0.0432 0.3724 0.9175
36 S 0.3294 0.9570 0.9175
37 S 0.6270 0.9573 0.4156
38 S 0.3304 0.3731 0.4157
39 S 0.0424 0.6696 0.4174
40 O 0.2113 0.0304 0.3028
41 O 0.8160 0.7885 0.3036
42 O 0.9681 0.1803 0.3031
43 O 0.2105 0.1840 0.8031
44 O 0.9743 0.7920 0.8014
45 O 0.8161 0.0268 0.8031
46 O 0.7874 0.9725 0.6964
47 O 0.1854 0.2125 0.6964
48 O 0.0262 0.8114 0.6940
49 O 0.7891 0.8195 0.1978
50 O 0.0317 0.2118 0.1974
51 O 0.1838 0.9726 0.1970
52 O 0.8775 0.3643 0.6358
53 O 0.4827 0.1228 0.6362
54 O 0.6396 0.5166 0.6366
55 O 0.8816 0.5204 0.1371
56 O 0.6398 0.1165 0.1396
57 O 0.4765 0.3598 0.1396
58 O 0.4588 0.3084 0.0327
59 O 0.8512 0.5436 0.0310
60 O 0.6919 0.1506 0.0327
61 O 0.4547 0.1476 0.5304
62 O 0.6967 0.5447 0.5307
63 O 0.8510 0.3061 0.5300
64 O 0.5442 0.6937 0.9704
65 O 0.1497 0.4558 0.9703
66 O 0.3062 0.8505 0.9703
67 O 0.5419 0.8498 0.4681
68 O 0.3073 0.4578 0.4681
69 O 0.1454 0.6926 0.4718
70 O 0.1226 0.6405 0.3647
71 O 0.5224 0.8814 0.3609
72 O 0.3597 0.4778 0.3609
73 O 0.1231 0.4827 0.8639
74 O 0.3596 0.8770 0.8639
75 O 0.5173 0.6403 0.8640
76 O 0.0228 0.8271 0.4106
77 O 0.8050 0.9781 0.4100
78 O 0.1727 0.1950 0.4099
79 O 0.0224 0.1954 0.9103
80 O 0.1728 0.9773 0.9102
81 O 0.8049 0.8271 0.9103
82 O 0.9784 0.1740 0.5897
83 O 0.1921 0.0169 0.5893
84 O 0.8293 0.8029 0.5895
85 O 0.9774 0.8038 0.0897
86 O 0.8267 0.0227 0.0902
87 O 0.1955 0.1734 0.0901
88 O 0.6895 0.1599 0.7435
89 O 0.4709 0.3113 0.7436
90 O 0.8397 0.5286 0.7432
91 O 0.6829 0.5258 0.2438
92 O 0.8386 0.3083 0.2433
93 O 0.4725 0.1602 0.2441
94 O 0.6437 0.5081 0.9230
95 O 0.8641 0.3556 0.9230
96 O 0.4920 0.1360 0.9231
97 O 0.6444 0.1366 0.4219
98 O 0.4924 0.3559 0.4221
99 O 0.8623 0.5075 0.4226
100 O 0.3557 0.4940 0.0777
101 O 0.1390 0.6452 0.0770
102 O 0.5060 0.8615 0.0777
103 O 0.3501 0.8591 0.5768
104 O 0.5078 0.6453 0.5763
105 O 0.1360 0.4956 0.5762
106 O 0.3168 0.8429 0.2567
107 O 0.5278 0.6877 0.2565
108 O 0.1615 0.4697 0.2573
109 O 0.3112 0.4700 0.7559
110 O 0.1589 0.6894 0.7554
111 O 0.5299 0.8412 0.7558

Summary:
SG: P1


# 2
A plane-wave DFT calculation with PBE was carried out for crystalline Na6Mg4Sc4SiS11O48 at its relaxed geometry.

Cell: 17.6487 8.8263 22.8584 Å, 89.93 89.95 120.04°
Element x y z (fractional)
1 Na 0.8187 0.9974 0.2485
2 Na 0.9973 0.6366 0.2524
3 Na 0.3174 0.6455 0.7495
4 Na 0.8174 0.6433 0.7475
5 Na 0.9951 0.3575 0.7501
6 Na 0.6881 0.0019 0.7488
7 Na 0.9990 0.9991 0.4989
8 Na 0.5022 0.0017 0.4962
9 Na 0.0017 0.0017 0.0009
10 Na 0.5003 0.0000 0.0008
11 Na 0.3342 0.3164 0.8362
12 Na 0.8338 0.3254 0.8363
13 Na 0.3342 0.3349 0.3309
14 Na 0.8286 0.3436 0.3355
15 Na 0.1737 0.6690 0.1678
16 Na 0.6648 0.6567 0.1683
17 Na 0.1710 0.6835 0.6647
18 Na 0.6689 0.6699 0.6632
19 Mg 0.4987 0.9998 0.3519
20 Mg 0.8335 0.3259 0.6792
21 Mg 0.3340 0.3365 0.1843
22 Mg 0.8290 0.3394 0.1837
23 Mg 0.3328 0.3325 0.9832
24 Mg 0.8327 0.3325 0.9828
25 Mg 0.8328 0.3335 0.4821
26 Mg 0.1655 0.6649 0.5161
27 Mg 0.6684 0.6689 0.5168
28 Mg 0.1729 0.6714 0.3186
29 Mg 0.1713 0.6835 0.8172
30 Mg 0.6671 0.6673 0.8175
31 Sc 0.9970 0.9867 0.3527
32 Sc 0.9962 0.0035 0.8527
33 Sc 0.4949 0.0069 0.8529
34 Sc 0.9917 0.9944 0.6460
35 Sc 0.4948 0.9987 0.6467
36 Sc 0.9958 0.9934 0.1488
37 Sc 0.4976 0.9978 0.1493
38 Sc 0.3340 0.3163 0.6847
39 Sc 0.3327 0.3319 0.4786
40 Sc 0.1674 0.6677 0.0191
41 Sc 0.6660 0.6672 0.0192
42 Sc 0.6661 0.6551 0.3155
43 Si 0.8506 0.6979 0.2497
44 Si 0.3496 0.9966 0.7503
45 Si 0.8494 0.0001 0.7505
46 S 0.1494 0.0027 0.2501
47 S 0.6450 0.0011 0.2510
48 S 0.3532 0.7055 0.2515
49 S 0.0026 0.2966 0.2499
50 S 0.4967 0.2880 0.2508
51 S 0.1459 0.2918 0.7504
52 S 0.6461 0.2947 0.7499
53 S 0.0012 0.7080 0.7497
54 S 0.5008 0.7076 0.7506
55 S 0.4824 0.3390 0.5816
56 S 0.9812 0.3395 0.5825
57 S 0.1860 0.0359 0.5819
58 S 0.6872 0.0385 0.5828
59 S 0.3313 0.6243 0.5831
60 S 0.8311 0.6203 0.5829
61 S 0.4774 0.6220 0.0832
62 S 0.9783 0.6219 0.0829
63 S 0.3334 0.0458 0.0834
64 S 0.8335 0.0456 0.0832
65 S 0.1892 0.3330 0.0831
66 S 0.6878 0.3320 0.0825
67 S 0.3122 0.6606 0.9163
68 S 0.8121 0.6608 0.9164
69 S 0.0201 0.3776 0.9159
70 S 0.5203 0.3788 0.9167
71 S 0.1681 0.9623 0.9169
72 S 0.6680 0.9622 0.9160
73 S 0.3129 0.9554 0.4170
74 S 0.8123 0.9624 0.4177
75 S 0.1662 0.3775 0.4170
76 S 0.6660 0.3701 0.4188
77 S 0.0209 0.6624 0.4169
78 S 0.5216 0.6709 0.4176
79 O 0.1086 0.0307 0.3027
80 O 0.6046 0.0278 0.3026
81 O 0.4078 0.7895 0.3028
82 O 0.9155 0.7975 0.3056
83 O 0.4860 0.1827 0.3027
84 O 0.9878 0.1857 0.3021
85 O 0.1083 0.1822 0.8030
86 O 0.6080 0.1798 0.8021
87 O 0.4857 0.7886 0.8027
88 O 0.9866 0.7894 0.8022
89 O 0.4127 0.0286 0.8071
90 O 0.9164 0.0373 0.8060
91 O 0.3984 0.9640 0.6941
92 O 0.8975 0.9628 0.6950
93 O 0.0922 0.2099 0.6979
94 O 0.5930 0.2115 0.6974
95 O 0.0172 0.8178 0.6973
96 O 0.5182 0.8193 0.6979
97 O 0.3947 0.8151 0.1975
98 O 0.8970 0.8326 0.1938
99 O 0.0179 0.2183 0.1971
100 O 0.5119 0.2086 0.1972
101 O 0.0924 0.9711 0.1979
102 O 0.5922 0.9759 0.1972
103 O 0.4411 0.3625 0.6352
104 O 0.9431 0.3619 0.6378
105 O 0.2398 0.1193 0.6353
106 O 0.7372 0.1154 0.6380
107 O 0.3207 0.5233 0.6379
108 O 0.8208 0.5227 0.6385
109 O 0.4387 0.5176 0.1360
110 O 0.9408 0.5202 0.1370
111 O 0.3202 0.1235 0.1361
112 O 0.8210 0.1206 0.1378
113 O 0.2415 0.3600 0.1359
114 O 0.7398 0.3590 0.1354
115 O 0.2292 0.3093 0.0301
116 O 0.7275 0.3069 0.0297
117 O 0.4256 0.5441 0.0301
118 O 0.9248 0.5399 0.0309
119 O 0.3466 0.1495 0.0302
120 O 0.8442 0.1517 0.0312
121 O 0.2290 0.1483 0.5304
122 O 0.7297 0.1498 0.5318
123 O 0.3436 0.5356 0.5321
124 O 0.8439 0.5359 0.5320
125 O 0.4259 0.3105 0.5304
126 O 0.9252 0.3105 0.5318
127 O 0.2700 0.6892 0.9682
128 O 0.7698 0.6890 0.9682
129 O 0.0754 0.4636 0.9679
130 O 0.5748 0.4620 0.9694
131 O 0.1546 0.8518 0.9697
132 O 0.6553 0.8502 0.9681
133 O 0.2719 0.8507 0.4699
134 O 0.7704 0.8501 0.4687
135 O 0.1547 0.4577 0.4698
136 O 0.6531 0.4551 0.4701
137 O 0.0757 0.6882 0.4684
138 O 0.5744 0.6927 0.4698
139 O 0.0601 0.6417 0.3620
140 O 0.5605 0.6407 0.3643
141 O 0.2594 0.8798 0.3642
142 O 0.7610 0.8827 0.3628
143 O 0.1801 0.4823 0.3639
144 O 0.6796 0.4795 0.3649
145 O 0.0603 0.4786 0.8618
146 O 0.5617 0.4825 0.8639
147 O 0.1796 0.8802 0.8645
148 O 0.6793 0.8818 0.8623
149 O 0.2608 0.6379 0.8627
150 O 0.7612 0.6385 0.8626
151 O 0.0134 0.8254 0.4127
152 O 0.5108 0.8253 0.4105
153 O 0.4015 0.9779 0.4106
154 O 0.9014 0.9815 0.4115
155 O 0.0883 0.1991 0.4111
156 O 0.5872 0.1959 0.4108
157 O 0.0135 0.2015 0.9129
158 O 0.5139 0.2028 0.9133
159 O 0.0880 0.9781 0.9118
160 O 0.5881 0.9783 0.9115
161 O 0.4011 0.8208 0.9122
162 O 0.9010 0.8211 0.9120
163 O 0.4901 0.1790 0.5875
164 O 0.9911 0.1794 0.5885
165 O 0.0991 0.0216 0.5886
166 O 0.5983 0.0205 0.5892
167 O 0.4129 0.7993 0.5869
168 O 0.9126 0.7987 0.5873
169 O 0.4889 0.8020 0.0894
170 O 0.9901 0.8018 0.0880
171 O 0.4120 0.0227 0.0893
172 O 0.9131 0.0269 0.0872
173 O 0.0995 0.1770 0.0888
174 O 0.5982 0.1749 0.0890
175 O 0.3426 0.1742 0.7445
176 O 0.8423 0.1772 0.7445
177 O 0.2368 0.3239 0.7434
178 O 0.7356 0.3177 0.7431
179 O 0.4188 0.5363 0.7430
180 O 0.9192 0.5344 0.7430
181 O 0.3444 0.5306 0.2433
182 O 0.8476 0.5132 0.2441
183 O 0.4189 0.3075 0.2429
184 O 0.9212 0.3070 0.2426
185 O 0.2367 0.1572 0.2424
186 O 0.7354 0.1519 0.2432
187 O 0.3217 0.5050 0.9237
188 O 0.8217 0.5052 0.9237
189 O 0.4321 0.3569 0.9234
190 O 0.9320 0.3565 0.9230
191 O 0.2466 0.1372 0.9239
192 O 0.7468 0.1367 0.9232
193 O 0.3224 0.1353 0.4235
194 O 0.8216 0.1375 0.4234
195 O 0.2459 0.3572 0.4231
196 O 0.7457 0.3550 0.4239
197 O 0.4322 0.5098 0.4235
198 O 0.9321 0.5078 0.4231
199 O 0.1787 0.4922 0.0766
200 O 0.6773 0.4905 0.0762
201 O 0.0679 0.6428 0.0765
202 O 0.5676 0.6448 0.0767
203 O 0.2547 0.8653 0.0770
204 O 0.7547 0.8657 0.0770
205 O 0.1782 0.8627 0.5760
206 O 0.6774 0.8620 0.5769
207 O 0.2537 0.6442 0.5767
208 O 0.7537 0.6432 0.5774
209 O 0.0696 0.4953 0.5765
210 O 0.5693 0.4951 0.5758
211 O 0.1536 0.8386 0.2568
212 O 0.6541 0.8414 0.2562
213 O 0.2652 0.6893 0.2562
214 O 0.7567 0.6939 0.2562
215 O 0.0782 0.4765 0.2568
216 O 0.5764 0.4659 0.2554
217 O 0.1514 0.4646 0.7575
218 O 0.6548 0.4687 0.7577
219 O 0.0756 0.6770 0.7574
220 O 0.5777 0.6858 0.7580
221 O 0.2563 0.8174 0.7551
222 O 0.7537 0.8236 0.7564

Summary:
SG: P1


# 3
A plane-wave DFT calculation with PBE was carried out for crystalline Na8Mg2Sc2Si3S3O24 at its relaxed geometry.

Cell: 9.1725 9.1774 22.3456 Å, 90.61 89.61 120.01°
Element x y z (fractional)
1 Na 0.6419 0.0222 0.2610
2 Na 0.3461 0.3426 0.2546
3 Na 0.0030 0.6246 0.2426
4 Na 0.6242 0.6248 0.7328
5 Na 0.9927 0.3460 0.7364
6 Na 0.3847 0.0258 0.7516
7 Na 0.3054 0.3512 0.5930
8 Na 0.0141 0.6764 0.5860
9 Na 0.6700 0.9577 0.5797
10 Na 0.2838 0.9438 0.0809
11 Na 0.6785 0.6948 0.0818
12 Na 0.0286 0.3477 0.0954
13 Na 0.9873 0.6873 0.9182
14 Na 0.6849 0.0258 0.8995
15 Na 0.3237 0.2769 0.9021
16 Na 0.9508 0.2766 0.4160
17 Na 0.3412 0.0305 0.4092
18 Na 0.6954 0.6826 0.4306
19 Na 0.9722 0.9955 0.5040
20 Na 0.0116 0.9851 0.9962
21 Na 0.6449 0.3121 0.8207
22 Na 0.6652 0.3073 0.3305
23 Na 0.3040 0.6617 0.1706
24 Na 0.3413 0.6506 0.6607
25 Mg 0.0003 0.0111 0.3481
26 Mg 0.0123 0.0106 0.8429
27 Mg 0.6703 0.3362 0.6826
28 Mg 0.6781 0.3321 0.1877
29 Mg 0.3153 0.6729 0.0156
30 Mg 0.3494 0.6674 0.5208
31 Sc 0.9915 0.0112 0.6491
32 Sc 0.0113 0.9996 0.1538
33 Sc 0.6680 0.3349 0.9824
34 Sc 0.6762 0.3305 0.4870
35 Sc 0.3348 0.6794 0.3142
36 Sc 0.3434 0.6799 0.8117
37 Si 0.3015 0.0048 0.2518
38 Si 0.0009 0.2985 0.2506
39 Si 0.3025 0.3000 0.7521
40 Si 0.7055 0.0034 0.7538
41 Si 0.9713 0.3410 0.5843
42 Si 0.6698 0.6294 0.5843
43 Si 0.9619 0.6296 0.0845
44 Si 0.3289 0.9668 0.9196
45 Si 0.6330 0.9639 0.4176
46 S 0.7044 0.7034 0.2501
47 S 0.9993 0.7061 0.7525
48 S 0.3697 0.0359 0.5836
49 S 0.6656 0.0345 0.0826
50 S 0.3727 0.3371 0.0831
51 S 0.6238 0.6639 0.9203
52 S 0.0391 0.3709 0.9196
53 S 0.3326 0.3714 0.4161
54 S 0.0369 0.6675 0.4168
55 O 0.2089 0.0260 0.3105
56 O 0.8106 0.7846 0.3031
57 O 0.9686 0.1802 0.3079
58 O 0.2231 0.1872 0.8119
59 O 0.9797 0.7880 0.8075
60 O 0.8128 0.0206 0.8141
61 O 0.7915 0.9676 0.6949
62 O 0.1807 0.2062 0.6937
63 O 0.0275 0.8109 0.6987
64 O 0.7820 0.8086 0.1951
65 O 0.0274 0.2093 0.1884
66 O 0.1821 0.9674 0.1910
67 O 0.8822 0.3665 0.6433
68 O 0.4751 0.1162 0.6370
69 O 0.6404 0.5111 0.6417
70 O 0.8653 0.5141 0.1416
71 O 0.6379 0.1133 0.1361
72 O 0.4719 0.3564 0.1369
73 O 0.4542 0.3114 0.0292
74 O 0.8459 0.5398 0.0234
75 O 0.6862 0.1382 0.0287
76 O 0.4490 0.1414 0.5288
77 O 0.6906 0.5378 0.5221
78 O 0.8502 0.3032 0.5241
79 O 0.5394 0.6795 0.9749
80 O 0.1427 0.4529 0.9737
81 O 0.3056 0.8589 0.9799
82 O 0.5372 0.8482 0.4750
83 O 0.3115 0.4559 0.4694
84 O 0.1388 0.6865 0.4701
85 O 0.1177 0.6431 0.3615
86 O 0.5176 0.8741 0.3563
87 O 0.3521 0.4715 0.3608
88 O 0.1181 0.4739 0.8661
89 O 0.3618 0.8752 0.8614
90 O 0.5204 0.6412 0.8665
91 O 0.0190 0.8196 0.4113
92 O 0.8216 0.9814 0.4133
93 O 0.1818 0.1994 0.4124
94 O 0.0151 0.1990 0.9158
95 O 0.1582 0.9833 0.9138
96 O 0.7942 0.8144 0.9163
97 O 0.9919 0.1711 0.5858
98 O 0.1999 0.0184 0.5887
99 O 0.8482 0.8143 0.5868
100 O 0.9791 0.8209 0.0858
101 O 0.8221 0.0237 0.0865
102 O 0.2011 0.1851 0.0850
103 O 0.6876 0.1707 0.7473
104 O 0.4926 0.3281 0.7452
105 O 0.8476 0.5374 0.7480
106 O 0.6823 0.5329 0.2428
107 O 0.8387 0.3271 0.2466
108 O 0.4855 0.1749 0.2437
109 O 0.6415 0.5093 0.9224
110 O 0.8676 0.3556 0.9249
111 O 0.5035 0.1593 0.9229
112 O 0.6466 0.1533 0.4185
113 O 0.4878 0.3559 0.4195
114 O 0.8647 0.5131 0.4188
115 O 0.3586 0.4901 0.0765
116 O 0.1504 0.6463 0.0815
117 O 0.5198 0.8613 0.0765
118 O 0.3496 0.8658 0.5762
119 O 0.5073 0.6584 0.5810
120 O 0.1558 0.5109 0.5761
121 O 0.3224 0.8347 0.2530
122 O 0.5336 0.6856 0.2551
123 O 0.1781 0.4843 0.2539
124 O 0.3094 0.4853 0.7575
125 O 0.1514 0.6852 0.7576
126 O 0.5126 0.8330 0.7546

Summary:
SG: P1


| no. | calculated formation energy (meV per atom) |
| --- | --- |
| 1 | -2397 |
| 2 | -2502 |
| 3 | -2653 |